w | A relaxed Na3SiH5O6 crystal, computed with PBE-GGA.

extended XYZ file:
```
120
Lattice="-3.613 0.735 4.938 -4.730 -9.203 -2.091 12.759 -8.982 10.672" Properties=species:S:1:pos:R:3 pbc="T T T"
H 4.732 -11.542 7.626
Na 1.192 -14.694 9.075
O 2.650 -6.282 9.403
H -2.054 -3.138 6.134
H 1.316 -4.606 4.973
H 2.572 -5.995 6.399
Si 3.931 -15.809 11.165
O 5.871 -5.040 8.763
Si -0.753 -8.019 6.579
Na 2.731 -9.243 5.205
Na 7.217 -17.420 9.704
H 7.893 -11.331 14.275
Na -1.872 -3.210 3.191
O -0.855 -6.654 5.532
H 4.148 -7.975 11.392
O 8.010 -9.334 9.346
Na 0.627 -7.311 3.717
Na -2.800 -0.031 3.815
Na -0.295 -1.183 5.480
O 6.886 -9.674 11.712
H 5.006 -13.600 7.593
O 5.425 -16.400 10.809
Na 0.887 -11.343 9.790
O 5.193 -9.985 5.413
O 8.336 -15.289 9.536
O 6.504 -11.536 13.612
O 5.809 -13.969 8.077
O 2.672 -13.558 4.527
Na 3.224 -2.756 4.444
H 0.268 -9.476 2.127
H 8.336 -15.121 8.570
O -0.373 -6.089 1.955
Na -5.820 -7.489 4.309
O 4.790 -11.361 11.564
O 5.272 -10.796 7.987
O 0.666 -8.756 6.189
H -0.590 -3.850 5.926
Na 4.711 -16.267 8.038
H 3.269 -13.281 10.119
O -1.008 -1.051 2.710
H -3.476 -6.119 -0.756
Si 0.486 -1.641 2.354
Si 6.454 -11.240 11.994
H 2.609 -6.528 10.352
Si 5.170 -9.431 6.940
O -3.784 -11.141 5.257
H 1.807 -10.922 3.167
O 8.201 -6.309 8.261
H -4.685 -7.256 1.717
Si 2.647 -14.001 6.111
Na 3.529 -6.108 3.729
Na 4.835 -7.063 8.672
O 0.856 -4.504 6.531
O 2.734 -12.709 9.485
O -2.087 -5.914 -0.093
O -3.593 -8.116 4.172
O 3.561 -12.947 6.988
H 6.511 -16.133 11.886
O 9.986 -10.542 11.559
Na 10.236 -9.961 9.210
Na 3.790 -10.140 9.802
O 4.935 -8.074 10.754
O 1.767 -11.168 4.116
H 7.588 -7.041 7.999
H 9.101 -10.194 11.802
H -3.920 -2.329 4.949
Na -0.593 -12.826 7.151
Na 7.309 -11.713 8.766
H -1.201 -8.774 2.333
H 5.618 -8.676 11.186
Na -2.892 -5.737 4.753
Na 1.686 -8.207 8.314
O -5.569 -6.908 1.959
H 2.298 -5.313 9.286
H 7.355 -8.995 8.660
O -0.776 -7.466 8.106
O 7.719 -6.874 11.838
H 2.119 -12.137 4.233
H 1.845 -11.455 7.119
O -3.527 -10.047 -0.957
O -1.392 -3.481 5.442
H 6.470 -14.312 7.385
O -3.920 -2.161 3.983
Si -2.037 -6.211 1.525
O 3.416 -6.421 6.139
O -2.469 -7.776 1.807
Na 5.010 -4.624 6.368
O -3.302 -10.576 1.681
O 4.020 -14.174 11.352
O 1.744 -3.893 8.992
Na -5.079 -4.650 2.652
O 1.683 -4.741 4.034
H -3.101 -8.008 3.289
H 4.539 -12.310 11.444
Na -0.419 -10.387 4.847
O -0.518 -9.376 2.765
H -0.315 -5.908 5.893
H -3.172 -10.410 5.519
O -1.455 -12.410 4.756
Si 1.770 -3.450 7.408
H -2.939 -8.455 4.859
H 7.395 -7.809 11.818
H -2.094 -1.317 1.632
H 1.148 -4.169 3.400
H 3.501 -7.335 6.622
O 6.427 -8.447 7.349
O 1.000 -11.029 7.380
H -0.122 -5.140 2.075
O 7.944 -7.403 14.476
H 3.101 -12.844 8.546
O -2.848 -5.103 2.392
O 0.397 -3.276 2.167
O -2.010 -9.003 6.170
O 7.265 -12.348 11.126
H 7.518 -9.442 10.230
H -2.979 -9.641 1.701
O 3.751 -8.694 7.330
H 0.916 -10.115 6.897
Na 6.288 -14.241 10.328
Na 9.496 -12.800 10.867
```

Output
Space-group type: Pbca, No. 61
Crystal system: orthorhombic

x | A relaxed Na3SiH5O6 crystal, computed with PBE-GGA.

extended XYZ file:
```
120
Lattice="-2.428 -9.851 -0.683 2.950 -0.022 -10.170 10.625 -2.833 3.088" Properties=species:S:1:pos:R:3 pbc="T T T"
O 3.417 -4.647 -6.366
Na 2.950 -10.353 -5.154
H 2.694 -2.313 -4.879
H 2.721 -8.634 -8.034
Na 0.070 -4.707 -1.214
Si 3.728 -0.590 -7.161
O 9.303 -2.157 -7.191
H 3.256 -2.845 0.798
H 9.241 -3.906 -5.009
O 5.185 -11.060 -5.957
O 5.741 -3.029 -5.043
H 4.573 -10.265 -2.629
O 1.844 -10.548 -0.574
O 1.667 -9.687 -3.155
O 9.045 -10.179 -3.633
H 2.873 -7.248 -10.025
Na 5.362 -5.436 -8.940
Na -0.335 -9.639 -4.346
H 0.749 -7.338 -1.241
O 7.263 -4.561 -2.631
Na 5.786 -7.269 1.174
O 5.962 -1.646 -1.809
Si 7.904 -6.617 -5.937
H 8.333 -8.834 -6.406
Si 2.528 -5.515 -7.550
O 2.067 -7.241 -2.032
Na 11.078 -7.998 -6.552
O 0.861 -9.904 -6.374
Na 6.017 -9.064 -4.931
O 4.983 -9.478 0.700
H 1.713 -2.211 -1.326
H 6.682 -5.023 0.122
O 3.928 -5.629 -3.230
O 10.366 -10.616 -6.795
O 8.203 -7.721 1.264
H 5.965 -9.952 -1.934
H 5.378 -2.763 -7.986
O 8.190 -5.609 -0.479
H 10.150 -5.565 -4.384
Na 2.784 -2.633 -9.031
O 4.230 -2.171 -7.148
Si 8.619 -7.190 -0.215
Na 8.197 -2.353 -2.611
Na 3.074 -8.560 -0.272
H 8.427 -4.072 0.268
O 7.730 -8.059 -1.400
H 5.134 -5.335 -0.035
O 4.328 -6.568 -0.702
Na 1.908 -4.898 -4.430
H 5.182 -2.753 -5.831
H 8.453 -10.393 -2.886
H 10.656 -11.504 -6.375
O 2.581 -0.362 -8.305
H 7.712 -4.925 -3.418
H 7.669 -5.022 -1.803
Na 0.728 -7.552 -6.468
O 2.944 -4.985 -9.030
O 2.102 -2.527 -4.133
Na 5.131 -3.641 -2.835
H 5.769 -9.943 0.220
O 8.749 -7.948 -6.618
Na -0.503 -9.814 -0.644
H 1.906 -8.799 -2.757
O 10.286 -2.802 -1.392
O 2.398 -4.758 -1.148
O 5.359 -7.961 -8.253
O 5.788 -4.745 0.488
H 8.274 -5.457 2.259
Na 8.073 -4.145 -7.493
H 2.650 -2.418 -3.265
H 4.465 -7.682 -7.887
H 7.891 -9.860 -8.564
O 6.917 -10.534 -0.618
H 0.491 -1.201 -1.390
Na 11.651 -2.891 -7.121
O 3.884 -8.145 -5.134
Na 5.175 -5.686 -5.244
O 5.406 -9.676 -2.723
O 0.947 -5.284 -7.199
H 2.814 -3.871 -1.360
O 2.686 -9.576 -8.373
O 7.808 -10.389 -5.873
Si 4.443 -1.163 -1.440
O 8.461 -3.130 0.607
O 6.819 -6.137 -7.064
H 0.997 -7.140 -3.381
O 9.081 -5.464 -5.734
H 8.498 -10.288 -4.501
O 9.480 -3.019 -4.611
O 6.164 -3.227 -8.466
Na 11.482 -3.067 -3.420
O 10.748 -5.685 -3.585
Na 5.972 -7.019 -2.522
O 3.339 -2.316 -1.893
O 2.958 -7.096 -7.286
H 6.013 -7.371 -7.731
O -0.177 -7.444 -0.801
H 10.398 -5.367 -6.524
Na 8.363 -10.073 1.265
Si 6.704 -11.543 -6.326
O 10.201 -7.421 -0.567
O 0.781 -2.089 -0.970
H 3.435 -7.781 -4.347
Na 4.770 -10.618 -8.376
Si 7.419 -12.116 -0.605
Si 3.243 -6.088 -1.829
Na 10.420 -5.153 -1.298
O 11.324 -5.261 -6.965
H 7.519 -8.999 -1.129
Na 6.377 -2.088 0.610
O 0.399 -7.021 -4.181
H 3.629 -3.706 -6.637
O 8.566 -12.344 0.540
H -0.069 -6.131 -3.985
H 9.434 -10.494 -6.440
H 11.217 -6.574 -3.781
O 7.219 -7.076 -4.535
H 3.478 -7.683 -5.962
Na 9.239 -7.808 -3.336
H 6.574 -2.441 -5.136
```

Output
Space-group type: Pbca, No. 61
Crystal system: orthorhombic

Bottom line: w, by a margin of 0.008 eV/atom.

w | A relaxed Na2TiH4O5 crystal, computed with PBE-GGA.

extended XYZ file:
```
24
Lattice="3.057 0.000 0.000 -0.009 4.222 0.000 -0.950 -0.873 21.657" Properties=species:S:1:pos:R:3 pbc="T T T"
Na 1.526 2.107 1.710
H 2.272 -0.113 6.580
Ti -0.480 1.675 10.829
H 0.752 0.154 15.985
O 1.048 1.670 9.535
H 1.795 1.395 17.394
O -0.005 2.111 0.000
H 0.845 2.267 16.499
O -0.475 -0.436 10.829
O 1.529 -0.003 1.293
O 1.050 1.680 12.122
Ti 0.000 0.000 0.000
O 1.355 -0.198 6.242
H 1.252 1.083 5.158
Na 1.042 3.780 9.117
H 0.303 1.954 4.263
Na 1.056 -0.430 12.540
O 1.227 1.915 4.594
O 0.569 3.353 20.364
O 0.871 1.434 17.063
Na 0.571 1.242 19.947
H -0.175 3.463 15.077
O 0.743 3.548 15.416
H 1.346 3.196 5.672
```

Output
Space-group type: P-1, No. 2
Crystal system: triclinic

x | A relaxed Na2TiH4O5 crystal, computed with PBE-GGA.

extended XYZ file:
```
12
Lattice="0.437 1.588 -2.570 3.822 1.020 1.280 1.933 -10.368 -4.267" Properties=species:S:1:pos:R:3 pbc="T T T"
Na 3.355 -7.485 -4.056
H 4.277 -2.993 -1.123
O 0.687 -0.252 -1.852
Na 2.837 -0.275 -1.501
O 2.847 -5.070 -4.463
O 5.505 -7.508 -3.705
Ti 0.000 0.000 0.000
H 3.337 -4.388 -3.958
O 1.911 0.510 0.640
H 2.855 -3.372 -1.599
O 3.345 -2.690 -1.094
H 1.915 -4.767 -4.434
```

Output
Space-group type: Immm, No. 71
Crystal system: orthorhombic

Bottom line: w, by a margin of 0.062 eV/atom.